Computed, not measured: a geometry-optimized Rb2PtCl6 structure at the PBE level of DFT.

Output
For the total energy, the calculation gives -3.351 eV per atom. Its formation energy is -1.6357 eV per atom.

Cell lengths 7.2076, 7.2076, 7.2076 Å; angles 60.00, 60.00, 60.00 degrees
With the nearest neighbours (Å) after each atom.
Fractional positions:
Pt  0.0000  0.0000  0.0000  6 Cl 2.35
Cl  0.7692  0.7692  0.2308  1 Pt 2.35
Rb  0.2500  0.2500  0.2500  12 Cl 3.61
Cl  0.7692  0.2308  0.7692  1 Pt 2.35
Cl  0.2308  0.2308  0.7692  1 Pt 2.35
Cl  0.7692  0.2308  0.2308  1 Pt 2.35
Cl  0.2308  0.7692  0.7692  1 Pt 2.35
Rb  0.7500  0.7500  0.7500  12 Cl 3.61
Cl  0.2308  0.7692  0.2308  1 Pt 2.35